Record 1
The following is a DFT calculation (PBE) of K2UH6C2SO13 after structural relaxation.

Properties
Crystal system: triclinic
Raw total energy in eV/atom: -6.44
Volume in Å³/atom: 13.286
M_tot in μB per formula unit: 0.000

Lattice parameters (Å, degrees): 5.837 9.634 11.946 89.55 94.07 97.52
Sites, in units of the cell vectors:
K (0.253, 0.518, 0.644)
K (0.208, 0.147, 0.434)
K (0.792, 0.853, 0.566)
K (0.747, 0.482, 0.356)
U (0.230, 0.735, 0.101)
U (0.770, 0.265, 0.899)
H (0.992, 0.278, 0.190)
H (0.157, 0.042, 0.730)
H (0.345, 0.849, 0.706)
H (0.182, 0.402, 0.222)
H (0.504, 0.779, 0.795)
H (0.370, 0.050, 0.655)
H (0.630, 0.950, 0.345)
H (0.496, 0.221, 0.205)
H (0.818, 0.598, 0.778)
H (0.655, 0.151, 0.294)
H (0.843, 0.958, 0.270)
H (0.008, 0.722, 0.810)
C (0.029, 0.981, 0.940)
C (0.500, 0.539, 0.944)
C (0.500, 0.461, 0.056)
C (0.971, 0.019, 0.060)
S (0.267, 0.731, 0.403)
S (0.733, 0.269, 0.597)
O (0.131, 0.874, 0.931)
O (0.045, 0.368, 0.938)
O (0.033, 0.940, 0.139)
O (0.071, 0.691, 0.473)
O (0.063, 0.335, 0.254)
O (0.171, 0.688, 0.282)
O (0.341, 0.884, 0.403)
O (0.213, 0.001, 0.664)
O (0.414, 0.652, 0.939)
O (0.465, 0.785, 0.715)
O (0.462, 0.653, 0.434)
O (0.412, 0.518, 0.136)
O (0.503, 0.843, 0.137)
O (0.497, 0.157, 0.863)
O (0.588, 0.482, 0.864)
O (0.538, 0.347, 0.566)
O (0.535, 0.215, 0.285)
O (0.586, 0.348, 0.061)
O (0.787, 0.999, 0.336)
O (0.659, 0.116, 0.597)
O (0.829, 0.312, 0.718)
O (0.937, 0.665, 0.746)
O (0.929, 0.309, 0.527)
O (0.967, 0.060, 0.861)
O (0.955, 0.632, 0.062)
O (0.869, 0.126, 0.069)

***

Record 2
The following is a DFT calculation (PBE) of KSi4H27C9O3 after structural relaxation.

Properties
Crystal system: trigonal
Raw total energy in eV/atom: -5.18
Volume in Å³/atom: 13.546
M_tot in μB per formula unit: 0.000

Lattice parameters (Å, degrees): 15.734 15.733 24.026 70.88 70.88 60.00
Sites, in units of the cell vectors:
K (0.937, 0.763, 0.707)
K (0.763, 0.593, 0.708)
K (0.593, 0.937, 0.707)
K (0.063, 0.237, 0.293)
K (0.237, 0.407, 0.292)
K (0.407, 0.063, 0.293)
K (0.708, 0.709, 0.874)
K (0.292, 0.291, 0.126)
Si (0.574, 0.072, 0.825)
Si (0.072, 0.529, 0.825)
Si (0.529, 0.574, 0.825)
Si (0.426, 0.928, 0.175)
Si (0.928, 0.471, 0.175)
Si (0.471, 0.426, 0.175)
Si (0.792, 0.891, 0.891)
Si (0.891, 0.426, 0.891)
Si (0.426, 0.792, 0.891)
Si (0.208, 0.109, 0.109)
Si (0.109, 0.574, 0.109)
Si (0.574, 0.208, 0.109)
Si (0.826, 0.033, 0.739)
Si (0.033, 0.401, 0.739)
Si (0.401, 0.826, 0.739)
Si (0.174, 0.967, 0.261)
Si (0.967, 0.599, 0.261)
Si (0.599, 0.174, 0.261)
Si (0.970, 0.723, 0.547)
Si (0.723, 0.759, 0.547)
Si (0.759, 0.970, 0.547)
Si (0.030, 0.277, 0.453)
Si (0.277, 0.241, 0.453)
Si (0.241, 0.030, 0.453)
Si (0.735, 0.944, 0.801)
Si (0.944, 0.520, 0.801)
Si (0.520, 0.735, 0.801)
Si (0.265, 0.056, 0.199)
Si (0.056, 0.480, 0.199)
Si (0.480, 0.265, 0.199)
Si (0.802, 0.802, 0.594)
Si (0.198, 0.198, 0.406)
H (0.474, 0.250, 0.841)
H (0.250, 0.435, 0.841)
H (0.435, 0.474, 0.841)
H (0.526, 0.750, 0.159)
H (0.750, 0.565, 0.159)
H (0.565, 0.526, 0.159)
H (0.598, 0.197, 0.853)
H (0.197, 0.352, 0.853)
H (0.352, 0.598, 0.853)
H (0.402, 0.803, 0.147)
H (0.803, 0.648, 0.147)
H (0.648, 0.402, 0.147)
H (0.576, 0.241, 0.778)
H (0.241, 0.405, 0.778)
H (0.405, 0.576, 0.778)
H (0.424, 0.759, 0.222)
H (0.759, 0.595, 0.222)
H (0.595, 0.424, 0.222)
H (0.506, 0.961, 0.907)
H (0.961, 0.625, 0.907)
H (0.625, 0.506, 0.907)
H (0.494, 0.039, 0.093)
H (0.039, 0.375, 0.093)
H (0.375, 0.494, 0.093)
H (0.537, 0.029, 0.937)
H (0.029, 0.496, 0.937)
H (0.496, 0.537, 0.937)
H (0.463, 0.971, 0.063)
H (0.971, 0.504, 0.063)
H (0.504, 0.463, 0.063)
H (0.425, 0.090, 0.909)
H (0.090, 0.576, 0.909)
H (0.576, 0.425, 0.909)
H (0.575, 0.910, 0.091)
H (0.910, 0.424, 0.091)
H (0.424, 0.575, 0.091)
H (0.785, 0.944, 0.981)
H (0.944, 0.290, 0.981)
H (0.290, 0.785, 0.981)
H (0.215, 0.056, 0.019)
H (0.056, 0.710, 0.019)
H (0.710, 0.215, 0.019)
H (0.765, 0.044, 0.918)
H (0.044, 0.273, 0.918)
H (0.273, 0.765, 0.918)
H (0.235, 0.956, 0.082)
H (0.956, 0.727, 0.082)
H (0.727, 0.235, 0.082)
H (0.666, 0.009, 0.960)
H (0.009, 0.364, 0.960)
H (0.364, 0.666, 0.960)
H (0.334, 0.991, 0.040)
H (0.991, 0.636, 0.040)
H (0.636, 0.334, 0.040)
H (0.967, 0.777, 0.848)
H (0.777, 0.407, 0.848)
H (0.407, 0.967, 0.848)
H (0.033, 0.223, 0.152)
H (0.223, 0.593, 0.152)
H (0.593, 0.033, 0.152)
H (0.961, 0.890, 0.854)
H (0.890, 0.295, 0.854)
H (0.295, 0.961, 0.854)
H (0.039, 0.110, 0.146)
H (0.110, 0.705, 0.146)
H (0.705, 0.039, 0.146)
H (0.960, 0.796, 0.919)
H (0.796, 0.324, 0.919)
H (0.324, 0.960, 0.919)
H (0.040, 0.204, 0.081)
H (0.204, 0.676, 0.081)
H (0.676, 0.040, 0.081)
H (0.905, 0.141, 0.735)
H (0.141, 0.219, 0.735)
H (0.219, 0.905, 0.735)
H (0.095, 0.859, 0.265)
H (0.859, 0.781, 0.265)
H (0.781, 0.095, 0.265)
H (0.806, 0.148, 0.798)
H (0.148, 0.247, 0.798)
H (0.247, 0.806, 0.798)
H (0.194, 0.852, 0.202)
H (0.852, 0.753, 0.202)
H (0.753, 0.194, 0.202)
H (0.925, 0.043, 0.800)
H (0.043, 0.232, 0.800)
H (0.232, 0.925, 0.800)
H (0.075, 0.957, 0.200)
H (0.957, 0.768, 0.200)
H (0.768, 0.075, 0.200)
H (0.727, 0.110, 0.657)
H (0.110, 0.505, 0.657)
H (0.505, 0.727, 0.657)
H (0.273, 0.890, 0.343)
H (0.890, 0.495, 0.343)
H (0.495, 0.273, 0.343)
H (0.698, 0.200, 0.699)
H (0.200, 0.404, 0.699)
H (0.404, 0.698, 0.699)
H (0.302, 0.800, 0.301)
H (0.800, 0.596, 0.301)
H (0.596, 0.302, 0.301)
H (0.811, 0.163, 0.644)
H (0.163, 0.382, 0.644)
H (0.382, 0.811, 0.644)
H (0.189, 0.837, 0.356)
H (0.837, 0.618, 0.356)
H (0.618, 0.189, 0.356)
H (0.990, 0.547, 0.592)
H (0.547, 0.871, 0.592)
H (0.871, 0.990, 0.592)
H (0.010, 0.453, 0.408)
H (0.453, 0.129, 0.408)
H (0.129, 0.010, 0.408)
H (0.976, 0.584, 0.515)
H (0.584, 0.924, 0.515)
H (0.924, 0.976, 0.515)
H (0.024, 0.416, 0.485)
H (0.416, 0.076, 0.485)
H (0.076, 0.024, 0.485)
H (0.093, 0.550, 0.532)
H (0.550, 0.826, 0.532)
H (0.826, 0.093, 0.532)
H (0.907, 0.450, 0.468)
H (0.450, 0.174, 0.468)
H (0.174, 0.907, 0.468)
H (0.097, 0.724, 0.450)
H (0.724, 0.729, 0.450)
H (0.729, 0.097, 0.450)
H (0.903, 0.276, 0.550)
H (0.276, 0.271, 0.550)
H (0.271, 0.903, 0.550)
H (0.973, 0.787, 0.437)
H (0.787, 0.803, 0.437)
H (0.803, 0.973, 0.438)
H (0.027, 0.213, 0.563)
H (0.213, 0.197, 0.563)
H (0.197, 0.027, 0.562)
H (0.018, 0.848, 0.463)
H (0.848, 0.671, 0.463)
H (0.671, 0.018, 0.463)
H (0.982, 0.152, 0.537)
H (0.152, 0.329, 0.537)
H (0.329, 0.982, 0.537)
H (0.417, 0.238, 0.748)
H (0.238, 0.597, 0.748)
H (0.597, 0.417, 0.748)
H (0.583, 0.762, 0.252)
H (0.762, 0.403, 0.252)
H (0.403, 0.583, 0.252)
H (0.383, 0.150, 0.740)
H (0.150, 0.727, 0.740)
H (0.727, 0.383, 0.740)
H (0.617, 0.850, 0.260)
H (0.850, 0.273, 0.260)
H (0.273, 0.617, 0.260)
H (0.364, 0.171, 0.813)
H (0.171, 0.652, 0.813)
H (0.652, 0.364, 0.813)
H (0.636, 0.829, 0.187)
H (0.829, 0.348, 0.187)
H (0.348, 0.636, 0.187)
H (0.709, 0.803, 0.023)
H (0.803, 0.464, 0.023)
H (0.464, 0.709, 0.023)
H (0.291, 0.197, 0.977)
H (0.197, 0.536, 0.977)
H (0.536, 0.291, 0.977)
H (0.768, 0.682, 0.005)
H (0.681, 0.545, 0.005)
H (0.545, 0.768, 0.005)
H (0.232, 0.318, 0.995)
H (0.319, 0.455, 0.995)
H (0.455, 0.232, 0.995)
H (0.842, 0.742, 0.999)
H (0.742, 0.417, 0.999)
H (0.417, 0.842, 0.999)
H (0.158, 0.258, 0.001)
H (0.258, 0.583, 0.001)
H (0.583, 0.158, 0.001)
H (0.057, 0.966, 0.696)
H (0.966, 0.282, 0.696)
H (0.282, 0.057, 0.696)
H (0.943, 0.034, 0.304)
H (0.034, 0.718, 0.304)
H (0.718, 0.943, 0.304)
H (0.063, 0.909, 0.640)
H (0.909, 0.388, 0.640)
H (0.388, 0.063, 0.640)
H (0.937, 0.091, 0.360)
H (0.091, 0.612, 0.360)
H (0.612, 0.937, 0.360)
H (0.989, 0.040, 0.636)
H (0.040, 0.335, 0.636)
H (0.335, 0.989, 0.636)
H (0.011, 0.960, 0.364)
H (0.960, 0.665, 0.364)
H (0.665, 0.011, 0.364)
H (0.160, 0.746, 0.538)
H (0.746, 0.555, 0.538)
H (0.555, 0.160, 0.538)
H (0.840, 0.254, 0.462)
H (0.254, 0.445, 0.462)
H (0.445, 0.840, 0.462)
H (0.171, 0.678, 0.614)
H (0.678, 0.538, 0.614)
H (0.538, 0.171, 0.614)
H (0.829, 0.322, 0.386)
H (0.322, 0.462, 0.386)
H (0.462, 0.829, 0.386)
H (0.181, 0.619, 0.558)
H (0.619, 0.642, 0.558)
H (0.642, 0.181, 0.558)
H (0.819, 0.381, 0.442)
H (0.381, 0.358, 0.442)
H (0.358, 0.819, 0.442)
C (0.415, 0.165, 0.768)
C (0.165, 0.652, 0.768)
C (0.652, 0.415, 0.768)
C (0.585, 0.835, 0.232)
C (0.835, 0.348, 0.232)
C (0.348, 0.585, 0.232)
C (0.770, 0.755, 0.992)
C (0.755, 0.483, 0.992)
C (0.483, 0.770, 0.992)
C (0.230, 0.245, 0.008)
C (0.245, 0.517, 0.008)
C (0.517, 0.230, 0.008)
C (0.013, 0.966, 0.668)
C (0.966, 0.353, 0.668)
C (0.353, 0.013, 0.668)
C (0.987, 0.034, 0.332)
C (0.034, 0.647, 0.332)
C (0.647, 0.987, 0.332)
C (0.142, 0.690, 0.574)
C (0.690, 0.594, 0.574)
C (0.594, 0.142, 0.574)
C (0.858, 0.310, 0.426)
C (0.310, 0.406, 0.426)
C (0.406, 0.858, 0.426)
C (0.553, 0.202, 0.824)
C (0.202, 0.421, 0.824)
C (0.421, 0.553, 0.824)
C (0.447, 0.798, 0.176)
C (0.798, 0.579, 0.176)
C (0.579, 0.447, 0.176)
C (0.504, 0.034, 0.902)
C (0.034, 0.560, 0.902)
C (0.560, 0.504, 0.902)
C (0.496, 0.966, 0.098)
C (0.966, 0.440, 0.098)
C (0.440, 0.496, 0.098)
C (0.747, 0.980, 0.943)
C (0.980, 0.330, 0.942)
C (0.330, 0.747, 0.943)
C (0.253, 0.020, 0.057)
C (0.020, 0.670, 0.058)
C (0.670, 0.253, 0.057)
C (0.934, 0.833, 0.877)
C (0.833, 0.357, 0.877)
C (0.357, 0.934, 0.877)
C (0.066, 0.167, 0.123)
C (0.167, 0.643, 0.123)
C (0.643, 0.066, 0.123)
C (0.870, 0.097, 0.771)
C (0.097, 0.262, 0.771)
C (0.262, 0.870, 0.771)
C (0.130, 0.903, 0.229)
C (0.903, 0.738, 0.229)
C (0.738, 0.130, 0.229)
C (0.759, 0.136, 0.679)
C (0.136, 0.426, 0.679)
C (0.426, 0.759, 0.679)
C (0.241, 0.864, 0.321)
C (0.864, 0.574, 0.321)
C (0.574, 0.241, 0.321)
C (0.011, 0.588, 0.547)
C (0.588, 0.854, 0.547)
C (0.854, 0.011, 0.547)
C (0.989, 0.412, 0.453)
C (0.412, 0.146, 0.453)
C (0.146, 0.989, 0.453)
C (0.019, 0.776, 0.467)
C (0.776, 0.737, 0.467)
C (0.737, 0.019, 0.467)
C (0.981, 0.224, 0.533)
C (0.224, 0.263, 0.533)
C (0.263, 0.981, 0.533)
O (0.513, 0.086, 0.773)
O (0.086, 0.629, 0.773)
O (0.629, 0.513, 0.773)
O (0.487, 0.914, 0.227)
O (0.914, 0.371, 0.227)
O (0.371, 0.487, 0.227)
O (0.758, 0.797, 0.932)
O (0.797, 0.514, 0.932)
O (0.514, 0.757, 0.932)
O (0.242, 0.203, 0.068)
O (0.203, 0.486, 0.068)
O (0.486, 0.243, 0.068)
O (0.931, 0.945, 0.703)
O (0.945, 0.420, 0.703)
O (0.420, 0.931, 0.703)
O (0.069, 0.055, 0.297)
O (0.055, 0.580, 0.297)
O (0.580, 0.069, 0.297)
O (0.036, 0.723, 0.592)
O (0.723, 0.649, 0.592)
O (0.649, 0.036, 0.592)
O (0.964, 0.277, 0.408)
O (0.277, 0.351, 0.408)
O (0.351, 0.964, 0.408)

***

- Look up the M_tot of the first one.
  0.000 μB per formula unit

***

- Among the records above, which one has the lowest raw total energy?
  K2UH6C2SO13